DFT (PBE) results for Cu23Sb8S26 after structural relaxation.

abc: 8.9935 8.9927 53.7942
angles: 109.52 109.65 109.37
Closest atoms and distances in Å follow each position.
Positions (direct):
Cu (0.5000, 0.7501, 0.8750)  4 S 2.31-2.32
Cu (0.7498, 0.4998, 0.5416)  4 S 2.30-2.32
Cu (0.7811, 0.0000, 0.7968)  3 S 2.25-2.27
Cu (0.0000, 0.7810, 0.6302)  3 S 2.25-2.27
Cu (0.7812, 0.7812, 0.0000)  3 S 2.26-2.28
Cu (0.4983, 0.2500, 0.1250)  4 S 2.30-2.32
Cu (0.2189, 0.9999, 0.3698)  3 S 2.25-2.26
Cu (0.2189, 0.2181, 0.4996)  3 S 2.24-2.28
Cu (0.7516, 0.2518, 0.2503)  4 S 2.30-2.32
Cu (0.5002, 0.7500, 0.2080)  4 S 2.30-2.32
Cu (0.9992, 0.7788, 0.2968)  3 S 2.25-2.28
Cu (0.2190, 0.0000, 0.7032)  3 S 2.25-2.27
Cu (0.4984, 0.2499, 0.4584)  4 S 2.31-2.32
Cu (0.2188, 0.9998, 0.2031)  3 S 2.25-2.26
Cu (0.5001, 0.7500, 0.5414)  4 S 2.30-2.32
Cu (0.0000, 0.7811, 0.7968)  3 S 2.25-2.27
Cu (0.5001, 0.2500, 0.9583)  4 S 2.31-2.32
Cu (0.7518, 0.2522, 0.0837)  4 S 2.29-2.32
Cu (0.2501, 0.5001, 0.7917)  4 S 2.31-2.32
Cu (0.7504, 0.5002, 0.0417)  4 S 2.29-2.32
Cu (0.7810, 0.9998, 0.1302)  3 S 2.26-2.27
Cu (0.7500, 0.2499, 0.9167)  4 S 2.31-2.32
Cu (0.0001, 0.2189, 0.5365)  3 S 2.25-2.26
Cu (0.0021, 0.2212, 0.3701)  3 S 2.24-2.28
Cu (0.0021, 0.2211, 0.0368)  3 S 2.24-2.28
Cu (0.2190, 0.2190, 0.6667)  3 S 2.25-2.28
Cu (0.2500, 0.7500, 0.9167)  4 S 2.31-2.32
Cu (0.0001, 0.2190, 0.8699)  3 S 2.25-2.27
Cu (0.2497, 0.7480, 0.0833)  4 S 2.30-2.32
Cu (0.5003, 0.7500, 0.3747)  4 S 2.30-2.32
Cu (0.0000, 0.2189, 0.7032)  3 S 2.25-2.27
Cu (0.7501, 0.5000, 0.8750)  4 S 2.31-2.32
Cu (0.7810, 0.0000, 0.9635)  3 S 2.26
Cu (0.2190, 0.2181, 0.3330)  3 S 2.24-2.28
Cu (0.7810, 0.0000, 0.6302)  3 S 2.25-2.27
Cu (0.2497, 0.7481, 0.2500)  4 S 2.30-2.32
Cu (0.2190, 0.0001, 0.8699)  3 S 2.25-2.27
Cu (0.2501, 0.5001, 0.6250)  4 S 2.31-2.32
Cu (0.5001, 0.7499, 0.0417)  4 S 2.30-2.32
Cu (0.2497, 0.7481, 0.4166)  4 S 2.31-2.32
Cu (0.7797, 0.7818, 0.5001)  3 S 2.25-2.28
Cu (0.5000, 0.7500, 0.7083)  4 S 2.31-2.32
Cu (0.7500, 0.4999, 0.3750)  4 S 2.30-2.31
Cu (0.7500, 0.2500, 0.7500)  4 S 2.31-2.32
Cu (0.2192, 0.0003, 0.0366)  3 S 2.25-2.27
Cu (0.2189, 0.2180, 0.1663)  3 S 2.24-2.29
Cu (0.2501, 0.7500, 0.7500)  4 S 2.31-2.32
Cu (0.9990, 0.7789, 0.1301)  3 S 2.25-2.28
Cu (0.7500, 0.5001, 0.7083)  4 S 2.31-2.32
Cu (0.7811, 0.0000, 0.2968)  3 S 2.25-2.27
Cu (0.5001, 0.2500, 0.7917)  4 S 2.31-2.32
Cu (0.4984, 0.2501, 0.2917)  4 S 2.30-2.32
Cu (0.7516, 0.2518, 0.4169)  4 S 2.30-2.32
Cu (0.2187, 0.9998, 0.5364)  3 S 2.26
Cu (0.7500, 0.4999, 0.2083)  4 S 2.30-2.31
Cu (0.7810, 0.7811, 0.6667)  3 S 2.26-2.28
Cu (0.7811, 0.7811, 0.8333)  3 S 2.26-2.27
Cu (0.7797, 0.7819, 0.1668)  3 S 2.25-2.28
Cu (0.9991, 0.7787, 0.4635)  3 S 2.25-2.28
Cu (0.2191, 0.2190, 0.0000)  3 S 2.25-2.28
Cu (0.7500, 0.2499, 0.5833)  4 S 2.31-2.32
Cu (0.2501, 0.7501, 0.5833)  4 S 2.31-2.32
Cu (0.0020, 0.2211, 0.2034)  3 S 2.24-2.28
Cu (0.2191, 0.2191, 0.8334)  3 S 2.25-2.28
Cu (0.7810, 0.9998, 0.4635)  3 S 2.25-2.27
Cu (0.2500, 0.5000, 0.9583)  4 S 2.31-2.32
Cu (0.5000, 0.2500, 0.6250)  4 S 2.31-2.32
Cu (0.7798, 0.7818, 0.3335)  3 S 2.25-2.28
Cu (0.9999, 0.7810, 0.9635)  3 S 2.25-2.26
Sb (0.5351, 0.5402, 0.2567)  3 S 2.43-2.50
Sb (0.0000, 0.4597, 0.1658)  3 S 2.43-2.51
Sb (0.9998, 0.9999, 0.9099)  3 S 2.48-2.49
Sb (0.9998, 0.4602, 0.4991)  3 S 2.42-2.50
Sb (0.4594, 0.0001, 0.0000)  3 S 2.48-2.49
Sb (0.4597, 0.9947, 0.3333)  3 S 2.42-2.50
Sb (0.5349, 0.5400, 0.4234)  3 S 2.42-2.50
Sb (0.5352, 0.5403, 0.0901)  3 S 2.43-2.51
Sb (0.9999, 0.4598, 0.6667)  3 S 2.48-2.49
Sb (0.5404, 0.5404, 0.9234)  3 S 2.48-2.49
Sb (0.0000, 0.4597, 0.8333)  3 S 2.48-2.49
Sb (0.0001, 0.4592, 0.0000)  3 S 2.49
Sb (0.4596, 0.9999, 0.8333)  3 S 2.48-2.49
Sb (0.0050, 0.0051, 0.4108)  3 S 2.42-2.51
Sb (0.5402, 0.5402, 0.5900)  3 S 2.48-2.49
Sb (0.9999, 0.9999, 0.7433)  3 S 2.48-2.49
Sb (0.4600, 0.9945, 0.5000)  3 S 2.42-2.50
Sb (0.4597, 0.9947, 0.1667)  3 S 2.43-2.50
Sb (0.4599, 0.9999, 0.6667)  3 S 2.48-2.49
Sb (0.0000, 0.4598, 0.3325)  3 S 2.42-2.51
Sb (0.5402, 0.5401, 0.7567)  3 S 2.48-2.49
Sb (0.0051, 0.0051, 0.0775)  3 S 2.42-2.51
Sb (0.0050, 0.0051, 0.2441)  3 S 2.42-2.51
Sb (0.9997, 0.9999, 0.5766)  3 S 2.48-2.49
S (0.2508, 0.7719, 0.2085)  3 Cu 2.26-2.32, 1 Sb 2.50
S (0.0002, 0.7497, 0.9201)  3 Cu 2.25-2.32, 1 Sb 2.49
S (0.0000, 0.0000, 0.3333)  6 Cu 2.26-2.28
S (0.9999, 0.9999, 0.8333)  6 Cu 2.27-2.28
S (0.0002, 0.7502, 0.5869)  3 Cu 2.25-2.32, 1 Sb 2.49
S (0.2492, 0.2484, 0.1283)  2 Cu 2.24-2.30, 1 Sb 2.42
S (0.0001, 0.5211, 0.6250)  3 Cu 2.26-2.32, 1 Sb 2.48
S (0.2506, 0.7718, 0.3751)  3 Cu 2.26-2.32, 1 Sb 2.50
S (0.4793, 0.2280, 0.0798)  3 Cu 2.25-2.32, 1 Sb 2.51
S (0.5213, 0.0003, 0.4582)  3 Cu 2.26-2.32, 1 Sb 2.50
S (0.5212, 0.0001, 0.6250)  3 Cu 2.26-2.32, 1 Sb 2.48
S (0.0001, 0.5212, 0.7917)  3 Cu 2.26-2.32, 1 Sb 2.48
S (0.2306, 0.4793, 0.2465)  2 Cu 2.24-2.30, 1 Sb 2.43
S (0.4789, 0.4789, 0.7048)  3 Cu 2.25-2.32, 1 Sb 2.48
S (0.4791, 0.2288, 0.7465)  3 Cu 2.25-2.32, 1 Sb 2.49
S (0.7719, 0.2520, 0.2085)  3 Cu 2.27-2.32, 1 Sb 2.50
S (0.5206, 0.7494, 0.0000)  3 Cu 2.26-2.31, 1 Sb 2.49
S (0.2504, 0.7712, 0.8751)  3 Cu 2.26-2.32, 1 Sb 2.48
S (0.2306, 0.4794, 0.0798)  2 Cu 2.24-2.30, 1 Sb 2.43
S (0.4791, 0.2289, 0.5798)  3 Cu 2.26-2.32, 1 Sb 2.49
S (0.7499, 0.5211, 0.6667)  3 Cu 2.26-2.31, 1 Sb 2.49
S (0.7720, 0.2518, 0.5418)  3 Cu 2.26-2.31, 1 Sb 2.50
S (0.0002, 0.7500, 0.7535)  3 Cu 2.25-2.32, 1 Sb 2.49
S (0.5214, 0.7520, 0.3334)  2 Cu 2.25-2.30, 1 Sb 2.42
S (0.2288, 0.4792, 0.7465)  3 Cu 2.25-2.32, 1 Sb 2.49
S (0.4798, 0.4790, 0.2046)  3 Cu 2.26-2.32, 1 Sb 2.50
S (0.7486, 0.9996, 0.0867)  3 Cu 2.26-2.32, 1 Sb 2.51
S (0.5209, 0.0003, 0.1248)  3 Cu 2.26-2.32, 1 Sb 2.50
S (0.7714, 0.2502, 0.7084)  3 Cu 2.26-2.32, 1 Sb 2.48
S (0.2505, 0.7715, 0.0417)  3 Cu 2.26-2.32, 1 Sb 2.49
S (0.9993, 0.5208, 0.4586)  2 Cu 2.25-2.30, 1 Sb 2.42
S (0.7491, 0.5210, 0.3335)  3 Cu 2.27-2.31, 1 Sb 2.51
S (0.4790, 0.4791, 0.8714)  3 Cu 2.25-2.32, 1 Sb 2.48
S (0.2503, 0.7713, 0.7084)  3 Cu 2.26-2.32, 1 Sb 2.48
S (0.7713, 0.2505, 0.8751)  3 Cu 2.26-2.32, 1 Sb 2.49
S (0.9993, 0.7474, 0.0866)  3 Cu 2.26-2.32, 1 Sb 2.51
S (0.2506, 0.2505, 0.9619)  3 Cu 2.25-2.32, 1 Sb 2.48
S (0.4798, 0.4789, 0.0379)  3 Cu 2.25-2.32, 1 Sb 2.50
S (0.2307, 0.4791, 0.4131)  2 Cu 2.24-2.31, 1 Sb 2.42
S (0.7496, 0.5208, 0.0000)  3 Cu 2.26-2.31, 1 Sb 2.49
S (0.2287, 0.4793, 0.9132)  3 Cu 2.25-2.32, 1 Sb 2.49
S (0.2504, 0.7715, 0.5418)  3 Cu 2.26-2.32, 1 Sb 2.50
S (0.4800, 0.4791, 0.3713)  3 Cu 2.26-2.32, 1 Sb 2.50
S (0.0002, 0.5209, 0.9583)  3 Cu 2.26-2.31, 1 Sb 2.49
S (0.4791, 0.2284, 0.4131)  3 Cu 2.25-2.32, 1 Sb 2.50
S (0.5210, 0.0001, 0.7916)  3 Cu 2.26-2.32, 1 Sb 2.48
S (0.9998, 0.9996, 0.9999)  6 Cu 2.26-2.28
S (0.9992, 0.7482, 0.2533)  3 Cu 2.26-2.32, 1 Sb 2.51
S (0.7496, 0.0001, 0.9201)  3 Cu 2.26-2.32, 1 Sb 2.49
S (0.2487, 0.2481, 0.2949)  2 Cu 2.24-2.30, 1 Sb 2.42
S (0.5211, 0.7498, 0.6667)  3 Cu 2.26-2.31, 1 Sb 2.49
S (0.7487, 0.5208, 0.1668)  3 Cu 2.27-2.31, 1 Sb 2.51
S (0.4793, 0.2288, 0.9132)  3 Cu 2.25-2.32, 1 Sb 2.49
S (0.7496, 0.5209, 0.8333)  3 Cu 2.26-2.31, 1 Sb 2.49
S (0.9998, 0.9998, 0.1667)  6 Cu 2.26-2.29
S (0.2502, 0.2502, 0.6286)  3 Cu 2.25-2.32, 1 Sb 2.48
S (0.2485, 0.2480, 0.4616)  2 Cu 2.24-2.31, 1 Sb 2.42
S (0.5214, 0.7521, 0.5000)  2 Cu 2.25-2.30, 1 Sb 2.42
S (0.7491, 0.9998, 0.2535)  3 Cu 2.25-2.32, 1 Sb 2.51
S (0.7492, 0.9998, 0.4201)  3 Cu 2.25-2.32, 1 Sb 2.50
S (0.5213, 0.7517, 0.1667)  2 Cu 2.25-2.30, 1 Sb 2.43
S (0.7501, 0.0003, 0.5870)  3 Cu 2.25-2.32, 1 Sb 2.49
S (0.2502, 0.2503, 0.7952)  3 Cu 2.25-2.32, 1 Sb 2.48
S (0.7491, 0.5209, 0.5001)  3 Cu 2.27-2.31, 1 Sb 2.50
S (0.5212, 0.0003, 0.2916)  3 Cu 2.26-2.32, 1 Sb 2.50
S (0.4788, 0.4791, 0.5382)  3 Cu 2.26-2.32, 1 Sb 2.48
S (0.9992, 0.7484, 0.4200)  3 Cu 2.26-2.32, 1 Sb 2.51
S (0.7718, 0.2518, 0.3751)  3 Cu 2.27-2.31, 1 Sb 2.50
S (0.4792, 0.2282, 0.2465)  3 Cu 2.25-2.32, 1 Sb 2.50
S (0.9999, 0.0002, 0.5001)  6 Cu 2.26-2.28
S (0.7709, 0.2503, 0.0417)  3 Cu 2.27-2.32, 1 Sb 2.48
S (0.9993, 0.5206, 0.1251)  2 Cu 2.25-2.29, 1 Sb 2.43
S (0.9995, 0.5209, 0.2919)  2 Cu 2.25-2.30, 1 Sb 2.42
S (0.9999, 0.9999, 0.6667)  6 Cu 2.27-2.28
S (0.5208, 0.0001, 0.9583)  3 Cu 2.26-2.32, 1 Sb 2.49
S (0.5209, 0.7496, 0.8333)  3 Cu 2.26-2.31, 1 Sb 2.49
S (0.2288, 0.4790, 0.5798)  3 Cu 2.25-2.32, 1 Sb 2.49
S (0.7500, 0.0001, 0.7535)  3 Cu 2.25-2.32, 1 Sb 2.49

Volume ... 3344.1 Å³/cell
Electronic total energy ... -4.327 eV/atom
Energy with MP2020 corrections ... -779.11 eV for the cell shown
M_tot ... 6.27 μB/cell
Energy of formation from the pure elements ... -42 kJ per mole of atoms

=====

DFT (PBE) results for Na2Ti2O5 after structural relaxation.

abc: 5.6604 9.0536 10.6549
angles: 90.00 90.00 90.00
Closest atoms and distances in Å follow each position.
Positions (direct):
Na (0.0678, 0.0228, 0.9892)  4 O 2.47-2.65
Na (0.9322, 0.0228, 0.4892)  4 O 2.47-2.65
Na (0.0876, 0.7478, 0.2336)  4 O 2.41-2.69
Na (0.9322, 0.5228, 0.0108)  4 O 2.47-2.65
Na (0.9124, 0.7478, 0.7336)  4 O 2.41-2.69
Na (0.0678, 0.5228, 0.5108)  4 O 2.47-2.65
Na (0.0876, 0.2478, 0.2664)  4 O 2.41-2.69
Na (0.9124, 0.2478, 0.7664)  4 O 2.41-2.69
O (0.5442, 0.3864, 0.6583)  2 Ti 1.85-1.86
O (0.1704, 0.7527, 0.0085)  1 Ti 1.76
O (0.4389, 0.5716, 0.3961)  2 Ti 1.86-1.87
O (0.4558, 0.8864, 0.3417)  2 Ti 1.85-1.86
O (0.6679, 0.7793, 0.1043)  2 Ti 1.86
O (0.9115, 0.5068, 0.2588)  1 Ti 1.76
O (0.4558, 0.3864, 0.1583)  2 Ti 1.85-1.86
O (0.5611, 0.5716, 0.8961)  2 Ti 1.86-1.87
O (0.3321, 0.7793, 0.6043)  2 Ti 1.86
O (0.5442, 0.8864, 0.8417)  2 Ti 1.85-1.86
O (0.9115, 0.0068, 0.2412)  1 Ti 1.76
O (0.0885, 0.0068, 0.7412)  1 Ti 1.76
O (0.8296, 0.2527, 0.9915)  1 Ti 1.76
O (0.3321, 0.2793, 0.8957)  2 Ti 1.86
O (0.5611, 0.0716, 0.6039)  2 Ti 1.86-1.87
O (0.8296, 0.7527, 0.5085)  1 Ti 1.76
O (0.1704, 0.2527, 0.4915)  1 Ti 1.76
O (0.6679, 0.2793, 0.3957)  2 Ti 1.86
O (0.4389, 0.0716, 0.1039)  2 Ti 1.86-1.87
O (0.0885, 0.5068, 0.7588)  1 Ti 1.76
Ti (0.5296, 0.7506, 0.4667)  4 O 1.76-1.86
Ti (0.4704, 0.7506, 0.9667)  4 O 1.76-1.86
Ti (0.4704, 0.2506, 0.5333)  4 O 1.76-1.86
Ti (0.3740, 0.4465, 0.7974)  4 O 1.76-1.87
Ti (0.3740, 0.9465, 0.7026)  4 O 1.76-1.87
Ti (0.6260, 0.9465, 0.2026)  4 O 1.76-1.87
Ti (0.5296, 0.2506, 0.0333)  4 O 1.76-1.86
Ti (0.6260, 0.4465, 0.2974)  4 O 1.76-1.87

Volume ... 546.0 Å³/cell
Electronic total energy ... -7.397 eV/atom
Energy with MP2020 corrections ... -280.05 eV for the cell shown
Piezoelectric modulus e_max ... 0.62 C/m2
M_tot ... 0.00 μB/cell
Energy of formation from the pure elements ... -288 kJ per mole of atoms

=====

DFT (PBE) results for MoWS4 after structural relaxation.

abc: 3.1897 3.1897 35.7923
angles: 90.00 90.00 120.00
Closest atoms and distances in Å follow each position.
Positions (direct):
S (0.6667, 0.3333, 0.1377)  3 Mo 2.42
S (0.6667, 0.3333, 0.6742)  3 W 2.42
S (0.6667, 0.3333, 0.7621)  3 W 2.42
S (0.3333, 0.6667, 0.9498)  3 Mo 2.42
S (0.3333, 0.6667, 0.3258)  3 W 2.42
S (0.3333, 0.6667, 0.8623)  3 Mo 2.42
S (0.3333, 0.6667, 0.2379)  3 W 2.42
S (0.6667, 0.3333, 0.0502)  3 Mo 2.42
Mo (0.6667, 0.3333, 0.9061)  6 S 2.42
Mo (0.3333, 0.6667, 0.0939)  6 S 2.42
W (0.3333, 0.6667, 0.7182)  6 S 2.42
W (0.6667, 0.3333, 0.2818)  6 S 2.42

Volume ... 315.4 Å³/cell
Electronic total energy ... -7.565 eV/atom
Energy with MP2020 corrections ... -94.81 eV for the cell shown
Energy of formation from the pure elements ... -113 kJ per mole of atoms

=====

DFT (PBE) results for RbMg14Zr after structural relaxation.

abc: 6.5733 6.6525 10.4592
angles: 90.00 90.00 120.40
Closest atoms and distances in Å follow each position.
Positions (direct):
Mg (0.8384, 0.1692, 0.3709)  11 Mg 3.21-3.35, 1 Zr 3.24
Mg (0.1679, 0.8340, 0.6250)  12 Mg 3.17-3.33
Mg (0.3355, 0.1804, 0.3845)  10 Mg 3.12-3.49, 1 Zr 3.25, 1 Rb 3.37
Mg (0.6679, 0.3311, 0.6250)  12 Mg 3.11-3.36
Mg (0.6679, 0.8368, 0.6250)  12 Mg 3.11-3.36
Mg (0.3355, 0.6551, 0.3845)  10 Mg 3.12-3.49, 1 Zr 3.25, 1 Rb 3.37
Mg (0.6642, 0.8342, 0.1250)  2 Zr 3.19-3.38, 8 Mg 3.21-3.35, 2 Rb 3.28-3.29
Mg (0.3355, 0.6551, 0.8655)  10 Mg 3.12-3.49, 1 Zr 3.25, 1 Rb 3.37
Mg (0.8384, 0.1692, 0.8791)  11 Mg 3.21-3.35, 1 Zr 3.24
Mg (0.6642, 0.3301, 0.1250)  2 Zr 3.19-3.38, 8 Mg 3.21-3.35, 2 Rb 3.28-3.29
Mg (0.8183, 0.6591, 0.8616)  11 Mg 3.11-3.41, 1 Rb 3.37
Mg (0.8183, 0.6591, 0.3884)  11 Mg 3.11-3.41, 1 Rb 3.37
Mg (0.1651, 0.3325, 0.6250)  12 Mg 3.12-3.33
Mg (0.3355, 0.1804, 0.8655)  10 Mg 3.12-3.49, 1 Zr 3.25, 1 Rb 3.37
Rb (0.1621, 0.8310, 0.1250)  10 Mg 3.28-3.37, 2 Zr 3.33
Zr (0.1853, 0.3427, 0.1250)  10 Mg 3.19-3.38, 2 Rb 3.33

Volume ... 394.5 Å³/cell
Electronic total energy ... -1.813 eV/atom
Energy above the most stable polymorph in this dataset ... 0.466 eV per formula unit
M_tot ... 0.01 μB/cell
Energy of formation from the pure elements ... 18 kJ per mole of atoms

=====

The lowest energy of formation from the pure elements belongs to which entry? Na2Ti2O5

=====

Please write out number 4 again, unchanged.
DFT (PBE) results for RbMg14Zr after structural relaxation.

abc: 6.5733 6.6525 10.4592
angles: 90.00 90.00 120.40
Closest atoms and distances in Å follow each position.
Positions (direct):
Mg (0.8384, 0.1692, 0.3709)  11 Mg 3.21-3.35, 1 Zr 3.24
Mg (0.1679, 0.8340, 0.6250)  12 Mg 3.17-3.33
Mg (0.3355, 0.1804, 0.3845)  10 Mg 3.12-3.49, 1 Zr 3.25, 1 Rb 3.37
Mg (0.6679, 0.3311, 0.6250)  12 Mg 3.11-3.36
Mg (0.6679, 0.8368, 0.6250)  12 Mg 3.11-3.36
Mg (0.3355, 0.6551, 0.3845)  10 Mg 3.12-3.49, 1 Zr 3.25, 1 Rb 3.37
Mg (0.6642, 0.8342, 0.1250)  2 Zr 3.19-3.38, 8 Mg 3.21-3.35, 2 Rb 3.28-3.29
Mg (0.3355, 0.6551, 0.8655)  10 Mg 3.12-3.49, 1 Zr 3.25, 1 Rb 3.37
Mg (0.8384, 0.1692, 0.8791)  11 Mg 3.21-3.35, 1 Zr 3.24
Mg (0.6642, 0.3301, 0.1250)  2 Zr 3.19-3.38, 8 Mg 3.21-3.35, 2 Rb 3.28-3.29
Mg (0.8183, 0.6591, 0.8616)  11 Mg 3.11-3.41, 1 Rb 3.37
Mg (0.8183, 0.6591, 0.3884)  11 Mg 3.11-3.41, 1 Rb 3.37
Mg (0.1651, 0.3325, 0.6250)  12 Mg 3.12-3.33
Mg (0.3355, 0.1804, 0.8655)  10 Mg 3.12-3.49, 1 Zr 3.25, 1 Rb 3.37
Rb (0.1621, 0.8310, 0.1250)  10 Mg 3.28-3.37, 2 Zr 3.33
Zr (0.1853, 0.3427, 0.1250)  10 Mg 3.19-3.38, 2 Rb 3.33

Volume ... 394.5 Å³/cell
Electronic total energy ... -1.813 eV/atom
Energy above the most stable polymorph in this dataset ... 0.466 eV per formula unit
M_tot ... 0.01 μB/cell
Energy of formation from the pure elements ... 18 kJ per mole of atoms